The following is a DFT calculation (GGA+U) of crystalline Rb2Be3Ni2F12 at its relaxed geometry.

Geometry as POSCAR:
```
Rb2Be3Ni2F12
1.0
10.1134 0.0000 0.0000
0.0000 10.1134 0.0000
0.0000 0.0000 10.1134
Rb Be Ni F
8 12 8 48
Cartesian
0.4888 0.4888 0.4888
1.8648 3.1919 6.9215
3.1919 6.9215 1.8648
4.5679 9.6246 5.5455
5.5455 4.5679 9.6246
6.9215 1.8648 3.1919
8.2486 8.2486 8.2486
9.6246 5.5455 4.5679
0.2064 2.1640 3.7991
1.2576 9.9070 7.2207
2.1640 3.7991 0.2064
2.8927 6.3142 5.2631
3.7991 0.2064 2.1640
4.8503 7.9493 8.8558
5.2631 2.8927 6.3142
6.3142 5.2631 2.8927
7.2207 1.2576 9.9070
7.9493 8.8558 4.8503
8.8558 4.8503 7.9493
9.9070 7.2207 1.2576
1.0050 9.1084 4.0517
1.6633 6.7200 8.4500
3.3934 3.3934 3.3934
4.0517 1.0050 9.1084
6.0617 6.0617 6.0617
6.7200 8.4500 1.6633
8.4500 1.6633 6.7200
9.1084 4.0517 1.0050
0.0453 5.6995 7.7485
0.1254 0.6746 3.3402
0.4649 8.1509 2.3343
0.6428 7.4215 10.0680
0.6746 3.3402 0.1254
0.9914 8.4427 7.6453
1.6707 2.5886 4.0653
1.7165 9.9879 5.7312
1.9624 7.3910 4.5918
2.3343 0.4649 8.1509
2.3648 5.1020 9.4705
2.4680 6.0481 6.7273
2.5886 4.0653 1.6707
2.6919 5.0113 4.4138
2.7224 9.6485 3.0943
3.0943 2.7224 9.6485
3.3402 0.1254 0.6746
3.3860 7.5247 9.1220
4.0653 1.6707 2.5886
4.3821 6.7731 5.1821
4.4138 2.6919 5.0113
4.5918 1.9624 7.3910
4.9312 9.4388 8.3969
5.0113 4.4138 2.6919
5.1020 9.4705 2.3648
5.1821 4.3821 6.7731
5.5215 7.0191 7.7790
5.6995 7.7485 0.0453
5.7312 1.7165 9.9879
6.0481 6.7273 2.4680
6.7273 2.4680 6.0481
6.7731 5.1821 4.3821
7.0191 7.7790 5.5215
7.3910 4.5918 1.9624
7.4215 10.0680 0.6428
7.5247 9.1220 3.3860
7.6453 0.9914 8.4427
7.7485 0.0453 5.6995
7.7790 5.5215 7.0191
8.1509 2.3343 0.4649
8.3969 4.9312 9.4388
8.4427 7.6453 0.9914
9.1220 3.3860 7.5247
9.4388 8.3969 4.9312
9.4705 2.3648 5.1020
9.6485 3.0943 2.7224
9.9879 5.7312 1.7165
10.0680 0.6428 7.4215
```


The following is a DFT calculation (GGA+U) of crystalline Li12VCo3P4C4O28 at its relaxed geometry.

Geometry as POSCAR:
```
Li12VCo3P4C4O28
1.0
8.4479 0.0000 0.0000
0.0000 6.5159 0.0000
-0.9189 0.0000 9.9566
Li V Co P C O
12 1 3 4 4 28
Cartesian
0.0000 0.0000 0.0000
-0.4485 0.0000 4.9780
1.2807 1.4750 2.5530
0.8111 1.4803 7.5682
0.8111 5.0356 7.5682
1.2807 5.0409 2.5530
4.8087 1.7512 5.0752
5.2729 1.7639 0.1019
5.2729 4.7519 0.1019
4.8087 4.7646 5.0752
6.0696 3.2579 7.6525
6.5472 3.2579 2.6800
1.4979 3.2579 4.8604
1.0618 3.2579 9.8537
4.5578 0.0000 2.7784
4.1007 0.0000 7.7476
2.1698 0.0000 5.2093
2.6377 0.0000 0.2274
3.4476 3.2579 7.4207
3.9168 3.2579 2.4387
7.0903 0.0000 2.3246
6.6300 0.0000 7.3058
7.4134 3.2579 5.3409
7.9017 3.2579 0.3484
-0.0966 0.0000 2.0173
-0.5558 0.0000 6.9984
-0.1473 3.2579 6.2968
0.3575 3.2579 1.2933
1.3259 1.1933 4.6786
1.3259 5.3226 4.6786
0.8817 1.2144 9.6749
0.8817 5.3015 9.6749
2.4600 3.2579 2.9483
1.9936 3.2579 7.9470
2.6697 0.0000 1.7924
2.2131 0.0000 6.7741
3.8750 3.2579 0.8769
3.4347 3.2579 5.8603
3.6263 0.0000 4.6925
3.1710 0.0000 9.6643
4.2751 2.0393 7.9328
4.2751 4.4765 7.9328
4.7473 2.0424 2.9564
4.7473 4.4734 2.9564
5.7265 0.0000 6.3627
6.1876 0.0000 1.3821
6.1541 3.2579 5.6197
6.6396 3.2579 0.6551
6.6784 0.0000 3.5523
6.2198 0.0000 8.5315
7.8500 3.2579 4.1139
7.3936 3.2579 9.0805
```


The following is a DFT calculation (GGA+U) of crystalline YCoW2O8 at its relaxed geometry.

Geometry as POSCAR:
```
YCoW2O8
1.0
5.1903 0.0000 0.0000
0.0000 5.8988 0.0000
-0.5990 0.0000 9.9369
Y Co W O
2 2 4 16
Cartesian
0.0000 0.0000 0.0000
2.2956 1.9078 4.9685
-0.2995 5.5502 4.9685
2.5951 2.0368 0.0000
-0.4461 3.0102 7.5294
2.4226 4.9600 2.5036
2.1687 4.9600 7.4333
5.0374 3.0102 2.4075
0.5167 1.7482 3.5674
0.2805 1.8991 8.8378
0.3925 4.6657 8.4155
0.8009 4.4743 3.5891
1.4741 3.4248 1.3765
1.2063 3.2960 6.4988
1.3304 0.1780 6.0516
1.8811 0.3632 1.2660
2.7102 0.3632 8.6709
3.2609 0.1780 3.8853
3.3850 3.2960 3.4382
3.1172 3.4248 8.5604
3.7904 4.4743 6.3478
4.1988 4.6657 1.5214
4.3108 1.8991 1.0992
4.0746 1.7482 6.3695
```


Listing DFT formation energy for the structures above in their given order: -71.23, -53.58, -55.73 kcal/mol of atoms.